a | The following is a PBE+U calculation of crystalline V2Bi8O17 at its relaxed geometry, from the Materials Project.

Results
For the volume, the calculation gives 16.6 Å³ per atom.

Unit cell a=7.5023 b=3.7169 c=32.1773 alpha=90.00 beta=94.73 gamma=90.00
Closest atoms and distances in Å follow each position.
Space group Cm (No. 8)
Asymmetric unit:
V: 0.0000 0.0000 0.0000 x2  2 O 1.67-1.84
V: 0.1046 0.5000 0.8232 x2  2 O 1.68-1.82
Bi: 0.0541 0.5000 0.0884 x2  4 O 2.26-2.39
Bi: 0.1157 0.0000 0.6233 x2  4 O 2.20-2.43
Bi: 0.1659 0.0000 0.9121 x2  5 O 2.27-2.43
Bi: 0.2166 0.5000 0.4073 x2  4 O 2.22-2.44
Bi: 0.2717 0.5000 0.7364 x2  4 O 2.27-2.37
Bi: 0.3044 0.0000 0.1884 x2  4 O 2.21-2.44
Bi: 0.3621 0.0000 0.5224 x2  3 O 2.21-2.26
Bi: 0.4455 0.5000 0.3047 x2  3 O 2.19-2.26
O: 0.0101 0.5000 0.7694 x2  1 V 1.82
O: 0.0227 0.5000 0.0138 x2  2 V 1.91
O: 0.0401 0.5000 0.8817 x2  1 V 1.98
O: 0.0413 0.0000 0.4063 x2  3 Bi 2.28-2.44
O: 0.1144 0.0000 0.5550 x2  2 Bi 2.20-2.21
O: 0.1271 0.0000 0.8364 x2  2 V 1.91
O: 0.1282 0.5000 0.1858 x2  3 Bi 2.28-2.44
O: 0.1545 0.0000 0.7043 x2  2 Bi 2.27
O: 0.2026 0.5000 0.3383 x2  2 Bi 2.19-2.22
O: 0.2123 0.0000 0.9878 x2  1 V 1.67
O: 0.2643 0.5000 0.4879 x2  2 Bi 2.26
O: 0.2947 0.0000 0.1197 x2  2 Bi 2.21-2.26
O: 0.3172 0.5000 0.8101 x2  1 V 1.68
O: 0.3497 0.0000 0.2698 x2  2 Bi 2.26
O: 0.4050 0.5000 0.9454 x2  1 V 1.84
O: 0.4347 0.5000 0.0574 x2  1 V 1.95
O: 0.4389 0.0000 0.6213 x2  3 Bi 2.28-2.43



b | The following is a PBE+U calculation of crystalline V2Bi8O17 at its relaxed geometry, from the Materials Project.

Results
For the volume, the calculation gives 19.6 Å³ per atom.

Unit cell a=6.1764 b=6.3393 c=13.8960 alpha=81.76 beta=80.82 gamma=83.23
Closest atoms and distances in Å follow each position.
Space group P1 (No. 1)
Asymmetric unit:
V: 0.0000 0.0000 0.0000 x1  4 O 1.69-1.86
V: 0.4543 0.0162 0.5083 x1  4 O 1.73-1.77
Bi: 0.3030 0.4074 0.3202 x1  3 O 2.15-2.25
Bi: 0.3274 0.4330 0.6701 x1  3 O 2.17-2.20
Bi: 0.4367 0.9313 0.1711 x1  3 O 2.14-2.26
Bi: 0.5075 0.8039 0.9331 x1  4 O 2.10-2.31
Bi: 0.8100 0.3587 0.8254 x1  4 O 2.17-2.35
Bi: 0.8993 0.0869 0.3128 x1  3 O 2.12-2.30
Bi: 0.9224 0.9630 0.6561 x1  3 O 2.12-2.27
Bi: 0.9303 0.4984 0.1027 x1  3 O 2.21-2.23
O: 0.1010 0.2038 0.7441 x1  2 Bi 2.17
O: 0.1376 0.7538 0.9584 x1  1 V 1.81
O: 0.1968 0.7187 0.2406 x1  2 Bi 2.14-2.20
O: 0.2018 0.2159 0.2128 x1  3 Bi 2.25-2.30
O: 0.2446 0.8570 0.5657 x1  1 V 1.75
O: 0.3245 0.0244 0.0272 x1  1 V 2.12, 2 Bi 2.15-2.20
O: 0.3811 0.2825 0.5354 x1  1 V 1.77
O: 0.4896 0.0307 0.3818 x1  1 V 1.73
O: 0.6015 0.6295 0.0628 x1  2 Bi 2.10-2.22
O: 0.6110 0.2432 0.7277 x1  2 Bi 2.20-2.22
O: 0.7021 0.9115 0.5468 x1  1 V 1.73
O: 0.7160 0.3174 0.2201 x1  2 Bi 2.15-2.21
O: 0.7885 0.0184 0.9171 x1  1 V 1.86
O: 0.8745 0.9200 0.1143 x1  1 V 1.69
O: 0.9526 0.6463 0.7292 x1  2 Bi 2.12-2.28
O: 0.9890 0.3133 0.3941 x1  2 Bi 2.12-2.15
O: 0.9908 0.2931 0.9813 x1  1 V 1.83



Q: Which of them is the most stable? A: b.



a | The following is a PBE+U calculation of crystalline Li4Cr3FeO8 at its relaxed geometry, from the Materials Project.

Results
For the volume, the calculation gives 9.3 Å³ per atom.

Unit cell a=10.3344 b=5.9112 c=5.1359 alpha=90.00 beta=109.30 gamma=90.00
Closest atoms and distances in Å follow each position.
Space group C2 (No. 5)
Asymmetric unit:
Li: 0.2500 0.0000 0.0001 x4  6 O 2.16-2.17
Li: 0.2499 0.2496 0.4990 x4  6 O 2.15-2.18
Cr: 0.0000 0.4984 0.5000 x2  6 O 2.03
Cr: 0.0000 0.7520 0.0000 x2  6 O 2.03
Cr: 0.0000 0.9976 0.5000 x2  6 O 2.03-2.04
Fe: 0.0000 0.2514 0.0000 x2  6 O 2.04-2.05
O: 0.1133 0.5028 0.2434 x4  2 Cr 2.03, 1 Fe 2.04, 3 Li 2.15-2.18
O: 0.1129 0.7484 0.7429 x4  3 Cr 2.03, 3 Li 2.16-2.17
O: 0.1139 0.2487 0.7408 x4  2 Cr 2.03-2.04, 1 Fe 2.05, 3 Li 2.16-2.17
O: 0.1140 0.9991 0.2440 x4  2 Cr 2.03-2.04, 1 Fe 2.05, 3 Li 2.16-2.17



b | The following is a PBE+U calculation of crystalline Li4Cr3FeO8 at its relaxed geometry, from the Materials Project.

Results
For the volume, the calculation gives 9.1 Å³ per atom.

Unit cell a=5.1226 b=7.7827 c=7.7832 alpha=81.64 beta=83.71 gamma=71.02
Closest atoms and distances in Å follow each position.
Space group P-1 (No. 2)
Asymmetric unit:
Li: 0.0022 0.1865 0.4368 x2  6 O 2.14-2.20
Li: 0.0019 0.4364 0.6887 x2  6 O 2.14-2.18
Li: 0.0025 0.6863 0.9396 x2  6 O 2.12-2.19
Li: 0.0036 0.9357 0.1876 x2  6 O 2.13-2.19
Cr: 0.5000 0.0000 0.0000 x1  6 O 2.02-2.03
Cr: 0.5000 0.1261 0.6260 x2  6 O 2.02-2.03
Cr: 0.5004 0.2523 0.2474 x2  6 O 2.02-2.03
Cr: 0.5000 0.5000 0.5000 x1  6 O 2.02-2.03
Fe: 0.5001 0.3761 0.8761 x2  6 O 1.98-1.99
O: 0.2734 0.0892 0.2174 x2  3 Cr 2.02-2.03, 3 Li 2.14-2.17
O: 0.2734 0.3389 0.4673 x2  3 Cr 2.02-2.03, 3 Li 2.15-2.16
O: 0.2740 0.9631 0.5935 x2  3 Cr 2.03, 3 Li 2.15-2.16
O: 0.2754 0.8358 0.9706 x2  1 Fe 1.99, 2 Cr 2.02-2.03, 3 Li 2.14-2.19
O: 0.2759 0.5855 0.7206 x2  1 Fe 1.99, 2 Cr 2.02-2.03, 3 Li 2.14-2.19
O: 0.2758 0.7119 0.3386 x2  1 Fe 1.99, 2 Cr 2.02, 3 Li 2.13-2.20
O: 0.2766 0.2174 0.8441 x2  1 Fe 1.99, 2 Cr 2.02, 3 Li 2.14-2.19
O: 0.2785 0.4663 0.0889 x2  2 Fe 1.98, 1 Cr 2.02, 3 Li 2.12-2.19



Q: Which of them is the most stable? A: a.



a | The following is a PBE+U calculation of crystalline LiVFeO4 at its relaxed geometry, from the Materials Project.

Results
For the volume, the calculation gives 10.8 Å³ per atom.

Unit cell a=5.9212 b=5.9962 c=8.5394 alpha=90.00 beta=90.00 gamma=90.00
Closest atoms and distances in Å follow each position.
Space group Imma (No. 74)
Asymmetric unit:
Li: 0.0000 0.2500 0.1191 x4  4 O 1.99-2.06
V: 0.2500 0.2500 0.7500 x4  6 O 1.97-1.98
Fe: 0.0000 0.0000 0.5000 x4  6 O 2.03-2.09
O: 0.0000 0.0323 0.7441 x8  2 V 1.97, 1 Li 2.06, 1 Fe 2.09
O: 0.2286 0.2500 0.5186 x8  1 V 1.98, 1 Li 1.99, 2 Fe 2.03



b | The following is a PBE+U calculation of crystalline LiVFeO4 at its relaxed geometry, from the Materials Project.

Results
For the volume, the calculation gives 10.8 Å³ per atom.

Unit cell a=10.3374 b=5.9589 c=6.0364 alpha=90.00 beta=125.65 gamma=90.00
Closest atoms and distances in Å follow each position.
Space group C2/m (No. 12)
Asymmetric unit:
Li: 0.2500 0.2500 0.0000 x4  6 O 2.13-2.19
V: 0.1251 0.0000 0.3751 x4  4 O 1.73-1.79
Fe: 0.0000 0.5000 0.0000 x2  6 O 2.14-2.15
Fe: 0.0000 0.5000 0.5000 x2  6 O 2.14
O: 0.0033 0.2458 0.2527 x8  1 V 1.79
O: 0.2440 0.0000 0.7287 x4  1 V 1.73
O: 0.2453 0.0000 0.2610 x4  1 V 1.74



Q: Which of them is the most stable? A: b.



a | The following is a PBE+U calculation of crystalline Ba2LiSmCoCu2O7 at its relaxed geometry, from the Materials Project.

Results
For the volume, the calculation gives 14.4 Å³ per atom.

Unit cell a=3.8309 b=4.1107 c=12.7972 alpha=90.00 beta=90.00 gamma=90.00
Closest atoms and distances in Å follow each position.
Space group Pmm2 (No. 25)
Asymmetric unit:
Ba: 0.0000 0.0000 0.0000 x1  10 O 2.86-3.02
Ba: 0.0000 0.0000 0.3151 x1  6 O 2.56-2.82, 2 Li 2.84
Li: 0.0000 0.5000 0.4677 x1  1 O 1.78
Sm: 0.0000 0.0000 0.7118 x1  8 O 2.43-2.55
Co: 0.5000 0.5000 0.1805 x1  2 O 1.79-1.98
Cu: 0.5000 0.5000 0.6015 x1  4 O 1.92-2.06
Cu: 0.5000 0.5000 0.8404 x1  4 O 1.92-2.06
O: 0.0000 0.5000 0.6066 x1  1 Li 1.78, 2 Cu 1.92
O: 0.0000 0.5000 0.8295 x1  2 Cu 1.92
O: 0.5000 0.0000 0.1824 x1  2 Co 2.06
O: 0.5000 0.0000 0.5949 x1  2 Cu 2.06
O: 0.5000 0.0000 0.8327 x1  2 Cu 2.06
O: 0.5000 0.5000 0.0410 x1  1 Co 1.79
O: 0.5000 0.5000 0.3356 x1  1 Co 1.98



b | The following is a PBE+U calculation of crystalline Ba2LiSmCoCu2O7 at its relaxed geometry, from the Materials Project.

Results
For the volume, the calculation gives 15.6 Å³ per atom.

Unit cell a=3.8398 b=3.9998 c=14.2385 alpha=90.00 beta=90.00 gamma=90.00
Closest atoms and distances in Å follow each position.
Space group Pmm2 (No. 25)
Asymmetric unit:
Ba: 0.0000 0.0000 0.0000 x1  8 O 2.80-3.01
Ba: 0.0000 0.0000 0.2873 x1  6 O 2.69-2.77
Li: 0.0000 0.0000 0.5562 x1  4 O 2.10-2.15
Sm: 0.0000 0.0000 0.7401 x1  6 O 2.36-2.61, 1 Li 2.62
Co: 0.5000 0.5000 0.1536 x1  4 O 1.81-2.00
Cu: 0.5000 0.5000 0.6084 x1  4 O 1.92-2.00
Cu: 0.5000 0.5000 0.8478 x1  4 O 1.94-2.01
O: 0.0000 0.5000 0.6112 x1  2 Cu 1.92, 2 Li 2.15
O: 0.0000 0.5000 0.8303 x1  2 Cu 1.94
O: 0.5000 0.0000 0.1551 x1  2 Co 2.00
O: 0.5000 0.0000 0.6163 x1  2 Cu 2.00, 2 Li 2.10
O: 0.5000 0.0000 0.8370 x1  2 Cu 2.01
O: 0.5000 0.5000 0.0261 x1  1 Co 1.81
O: 0.5000 0.5000 0.2849 x1  1 Co 1.87



Q: Which of them is the most stable? A: b.